Material: YSn2BiO7
Method: DFT, PBE
State: relaxed

ρ = 7.17 Mg/m³
symmetry = No. 74
total magnetization = 0.000 μB/atom
raw total energy = -6.85 eV per atom

Cell lengths 7.516, 7.516, 7.516 Å; angles 120.29, 119.84, 89.89 degrees
Element x y z (fractional)
Y 0.000 0.500 0.500
Y 0.500 0.500 0.000
Sn 0.500 0.000 0.000
Sn 0.500 0.500 0.500
Sn 0.500 0.000 0.500
Sn 0.000 0.000 0.000
Bi 0.000 0.500 0.000
Bi 0.000 0.000 0.500
O 0.866 0.616 0.250
O 0.134 0.384 0.750
O 0.834 0.084 0.750
O 0.413 0.663 0.750
O 0.836 0.664 0.745
O 0.419 0.091 0.755
O 0.836 0.091 0.172
O 0.419 0.664 0.328
O 0.166 0.916 0.250
O 0.587 0.337 0.250
O 0.164 0.336 0.255
O 0.581 0.909 0.245
O 0.164 0.909 0.828
O 0.581 0.336 0.672